Record 1
Below is CsPrS2 after structural relaxation, with properties calculated at the PBE level.

Unit cell a=4.2831 b=4.2831 c=16.1890 alpha=90.00 beta=90.00 gamma=120.00
Last column: nearest neighbours and their distance in Å.
Space group P6_3/mmc (No. 194)
Symmetry-distinct sites (fractional):
Cs 0.3333 0.6667 0.2500 [2 per cell]  6 S 3.53
Pr 0.0000 0.0000 0.0000 [2 per cell]  6 S 2.90
S 0.3333 0.6667 0.5940 [4 per cell]  3 Pr 2.90

Total DFT energy (no corrections) (eV for the cell shown): -42.21
Energy of formation (meV per atom): -2041
Crystal system: hexagonal

---

Record 2
Below is BaP2N4 after structural relaxation, with properties calculated at the PBE level.

Unit cell a=10.3416 b=10.3416 c=10.3416 alpha=90.00 beta=90.00 gamma=90.00
Last column: nearest neighbours and their distance in Å.
Space group Pa-3 (No. 205)
Symmetry-distinct sites (fractional):
Ba 0.0000 0.0000 0.0000 [4 per cell]  12 N 3.05-3.40
Ba 0.1323 0.6323 0.8677 [8 per cell]  9 N 2.83-2.97
P 0.1074 0.1844 0.3333 [24 per cell]  4 N 1.65-1.66
N 0.0114 0.5913 0.2196 [24 per cell]  2 P 1.65
N 0.1107 0.1807 0.7491 [24 per cell]  2 P 1.65-1.66

Total DFT energy (no corrections) (eV for the cell shown): -623.10
Energy of formation (meV per atom): -1040
Crystal system: cubic

---

Record 3
Below is Ho2AlZn after structural relaxation, with properties calculated at the PBE level.

Unit cell a=7.1594 b=7.1594 c=7.1594 alpha=90.00 beta=90.00 gamma=90.00
Last column: nearest neighbours and their distance in Å.
Space group Fm-3m (No. 225)
Symmetry-distinct sites (fractional):
Ho 0.2500 0.2500 0.2500 [8 per cell]  4 Al 3.10, 4 Zn 3.10
Al 0.0000 0.0000 0.0000 [4 per cell]  8 Ho 3.10
Zn 0.0000 0.0000 0.5000 [4 per cell]  8 Ho 3.10

Total DFT energy (no corrections) (eV for the cell shown): -62.78
Energy of formation (meV per atom): -381
Crystal system: cubic

---

Record 4
Below is ErP5O14 after structural relaxation, with properties calculated at the PBE level.

Unit cell a=13.0292 b=12.9353 c=12.5506 alpha=90.00 beta=91.55 gamma=90.00
Last column: nearest neighbours and their distance in Å.
Space group C2/c (No. 15)
Symmetry-distinct sites (fractional):
Er 0.0000 0.0202 0.2500 [4 per cell]  8 O 2.32-2.35
Er 0.0000 0.4661 0.2500 [4 per cell]  8 O 2.28-2.40
P 0.0230 0.3512 0.5343 [8 per cell]  4 O 1.48-1.66
P 0.1454 0.0301 0.0012 [8 per cell]  3 O 1.48-1.63
P 0.1479 0.1699 0.6071 [8 per cell]  4 O 1.47-1.58
P 0.1761 0.2471 0.2582 [8 per cell]  4 O 1.48-1.64
P 0.1831 0.3666 0.8901 [8 per cell]  4 O 1.48-1.59
O 0.0251 0.3966 0.4262 [8 per cell]  1 P 1.48
O 0.0577 0.4083 0.6322 [8 per cell]  1 P 1.49
O 0.0781 0.0627 0.0894 [8 per cell]  1 P 1.49
O 0.0839 0.2415 0.5276 [8 per cell]  2 P 1.58-1.63
O 0.0902 0.1278 0.6967 [8 per cell]  1 P 1.47
O 0.0932 0.3050 0.9438 [8 per cell]  2 P 1.58-1.66
O 0.1115 0.0339 0.8879 [8 per cell]  1 P 1.48
O 0.1139 0.1547 0.2835 [8 per cell]  1 P 1.48
O 0.1277 0.3480 0.2310 [8 per cell]  1 P 1.49
O 0.1524 0.4524 0.8187 [8 per cell]  1 P 1.48
O 0.1925 0.0862 0.5289 [8 per cell]  2 P 1.58-1.66
O 0.2431 0.2394 0.6399 [8 per cell]  2 P 1.58-1.64
O 0.2452 0.2758 0.8383 [8 per cell]  2 P 1.58-1.64
O 0.2488 0.4026 0.9917 [8 per cell]  2 P 1.59-1.63

Total DFT energy (no corrections) (eV for the cell shown): -1183.46
Energy of formation (meV per atom): -2832
Energy relative to the lowest polymorph listed for this composition (meV per atom): 0.0
Crystal system: monoclinic

---

The highest total DFT energy (no corrections) belongs to which entry?
CsPrS2

---

Repeat the third record exactly.
Below is Ho2AlZn after structural relaxation, with properties calculated at the PBE level.

Unit cell a=7.1594 b=7.1594 c=7.1594 alpha=90.00 beta=90.00 gamma=90.00
Last column: nearest neighbours and their distance in Å.
Space group Fm-3m (No. 225)
Symmetry-distinct sites (fractional):
Ho 0.2500 0.2500 0.2500 [8 per cell]  4 Al 3.10, 4 Zn 3.10
Al 0.0000 0.0000 0.0000 [4 per cell]  8 Ho 3.10
Zn 0.0000 0.0000 0.5000 [4 per cell]  8 Ho 3.10

Total DFT energy (no corrections) (eV for the cell shown): -62.78
Energy of formation (meV per atom): -381
Crystal system: cubic

---

Number 3 is which compound?
Ho2AlZn

---

Number 1 is which compound?
CsPrS2